DFT (r²SCAN) results for a relaxed FeB2O4 crystal.

Calculated values
Total DFT energy (no corrections) = -9.777 eV per atom
E_form = -2.206 eV per atom

Cell: 4.4243 9.1384 5.6232 Å, 90.00 90.00 99.50°
Sites, in units of the cell vectors:
B 0.8116 0.1864 0.8923
B 0.3117 0.6864 0.3923
B 0.8117 0.6864 0.6077
B 0.1884 0.8136 0.1078
B 0.6883 0.3136 0.6077
B 0.1884 0.3136 0.3923
B 0.6884 0.8136 0.8923
B 0.3116 0.1864 0.1077
Fe 0.7499 0.0000 0.3488
Fe 0.2499 0.0000 0.6512
Fe 0.7499 0.5000 0.1512
Fe 0.2499 0.5000 0.8488
O 0.3945 0.8608 0.9133
O 0.3945 0.3607 0.5867
O 0.6055 0.1393 0.0867
O 0.3344 0.8532 0.3477
O 0.8344 0.8532 0.6523
O 0.3344 0.3532 0.1523
O 0.1055 0.1393 0.9133
O 0.1656 0.6468 0.1523
O 0.8945 0.8608 0.0867
O 0.1055 0.6393 0.5867
O 0.8945 0.3608 0.4133
O 0.6656 0.1468 0.6522
O 0.6656 0.6468 0.8478
O 0.1656 0.1468 0.3477
O 0.6055 0.6392 0.4133
O 0.8344 0.3531 0.8477